A relaxed PuMoC2 crystal, computed with PBE.

- Space-group type: Pnma (62)

a = 3.2763 Å, b = 5.6884 Å, c = 10.9306 Å
α = 90.00°, β = 90.00°, γ = 90.00°
Fractional positions:
C 0.2500 0.6636 0.2458
C 0.2500 0.1636 0.2542
C 0.7500 0.7618 0.0108
C 0.7500 0.8364 0.7458
C 0.7500 0.3364 0.7542
C 0.7500 0.2618 0.4892
C 0.2500 0.2382 0.9892
C 0.2500 0.7382 0.5108
Mo 0.2500 0.9149 0.1052
Mo 0.2500 0.4149 0.3948
Mo 0.7500 0.0851 0.8948
Mo 0.7500 0.5851 0.6052
Pu 0.2500 0.0833 0.6407
Pu 0.7500 0.4167 0.1407
Pu 0.2500 0.5833 0.8593
Pu 0.7500 0.9167 0.3593

---

A relaxed Re2Mo3C crystal, computed with PBE.

- Space-group type: P4_132 (213)
- Total magnetic moment: 0.0 μB per formula unit

a = 6.9484 Å, b = 6.9484 Å, c = 6.9484 Å
α = 90.00°, β = 90.00°, γ = 90.00°
Fractional positions:
Re 0.1834 0.8166 0.3166
Re 0.0666 0.0666 0.0666
Re 0.5666 0.4334 0.9334
Re 0.3166 0.1834 0.8166
Re 0.4334 0.9334 0.5666
Re 0.8166 0.3166 0.1834
Re 0.6834 0.6834 0.6834
Re 0.9334 0.5666 0.4334
Mo 0.5450 0.6250 0.2950
Mo 0.4550 0.1250 0.2050
Mo 0.2950 0.5450 0.6250
Mo 0.8750 0.7050 0.0450
Mo 0.3750 0.7950 0.9550
Mo 0.0450 0.8750 0.7050
Mo 0.9550 0.3750 0.7950
Mo 0.7050 0.0450 0.8750
Mo 0.1250 0.2050 0.4550
Mo 0.7950 0.9550 0.3750
Mo 0.6250 0.2950 0.5450
Mo 0.2050 0.4550 0.1250
C 0.6250 0.8750 0.1250
C 0.1250 0.6250 0.8750
C 0.8750 0.1250 0.6250
C 0.3750 0.3750 0.3750

---

A relaxed ReMo2C crystal, computed with PBE.

- Space-group type: R3m (160)
- Total magnetic moment: 0.0 μB per formula unit

a = 7.1784 Å, b = 7.1784 Å, c = 7.1784 Å
α = 23.97°, β = 23.97°, γ = 23.97°
Fractional positions:
Mo 0.2755 0.2755 0.2755
Mo 0.4985 0.4985 0.4985
C 0.0008 0.0008 0.0008
Re 0.7252 0.7252 0.7252

---

A relaxed ReMoC2 crystal, computed with PBE.

- Space-group type: R-3m (166)
- Total magnetic moment: 0.0 μB per formula unit

a = 5.2974 Å, b = 5.2974 Å, c = 5.2974 Å
α = 34.06°, β = 34.06°, γ = 34.06°
Fractional positions:
Re 0.0000 0.0000 0.0000
C 0.2514 0.2514 0.2514
C 0.7486 0.7486 0.7486
Mo 0.5000 0.5000 0.5000

---

A relaxed Sm2Mo2C3 crystal, computed with PBE.

- Space-group type: C2/m (12)

a = 5.9489 Å, b = 5.9489 Å, c = 5.8324 Å
α = 74.30°, β = 74.30°, γ = 33.86°
Fractional positions:
C 0.7246 0.7246 0.7339
C 0.2754 0.2754 0.2661
C 0.0000 0.0000 0.5000
Mo 0.8476 0.8476 0.3822
Mo 0.1524 0.1524 0.6178
Sm 0.3889 0.3889 0.8237
Sm 0.6111 0.6111 0.1763

---

A relaxed TaMoC2 crystal, computed with PBE.

- Space-group type: R-3m (166)
- Total magnetic moment: 0.0 μB per formula unit

a = 5.3882 Å, b = 5.3882 Å, c = 5.3882 Å
α = 33.93°, β = 33.93°, γ = 33.93°
Fractional positions:
C 0.7496 0.7496 0.7496
C 0.2504 0.2504 0.2504
Mo 0.5000 0.5000 0.5000
Ta 0.0000 0.0000 0.0000

---

Number 1: calculated formation energy -0.16 eV/atom, electronic total energy -176.9 eV per cell. Number 2: calculated formation energy 0.01 eV/atom, electronic total energy -266.4 eV per cell. Number 3: calculated formation energy 0.24 eV/atom, electronic total energy -42.4 eV per cell. Number 4: calculated formation energy 0.57 eV/atom, electronic total energy -39.5 eV per cell. Number 5: calculated formation energy -0.24 eV/atom, electronic total energy -60.5 eV per cell. Number 6: calculated formation energy -0.18 eV/atom, electronic total energy -41.9 eV per cell.